Compound: CeNdN2
Source: Materials Project
Functional: PBE-GGA
Structure: relaxed

abc: 6.2477 6.2477 6.2477
angles: 33.58 33.58 33.58
With the nearest neighbours (Å) after each atom.
Atoms (fractional coordinates):
Ce 0.5000 0.5000 0.5000  6 N 2.49
Nd 0.0000 0.0000 0.0000  6 N 2.61
N 0.2441 0.2441 0.2441  3 Ce 2.49, 3 Nd 2.61
N 0.7559 0.7559 0.7559  3 Ce 2.49, 3 Nd 2.61

Summary:
The calculated formation energy comes out at -1.63 eV per atom. Its space group is R-3m. The electronic total energy comes out at -8.29 eV/atom.